The following is a PBE with a Hubbard U calculation of crystalline Cs2BiPWO8 at its relaxed geometry, from Materials Project.

Cell lengths 13.1883, 13.1883, 13.1883 Å; angles 148.11, 121.63, 68.07 degrees
Closest atoms and distances in Å follow each position.
Sites, in units of the cell vectors:
Cs 0.2431 0.6894 0.6155  7 O 3.04-3.41
Cs 0.5739 0.6276 0.8845  7 O 3.04-3.41
Cs 0.9261 0.8106 0.0536  7 O 3.04-3.41
Cs 0.2569 0.8724 0.4464  7 O 3.04-3.41
Cs 0.7569 0.3106 0.3845  7 O 3.04-3.41
Cs 0.4261 0.3724 0.1155  7 O 3.04-3.41
Cs 0.0739 0.1894 0.9464  7 O 3.04-3.41
Cs 0.7431 0.1276 0.5536  7 O 3.04-3.41
Bi 0.8388 0.7500 0.5888  6 O 2.40-2.50
Bi 0.6612 0.2500 0.9112  6 O 2.40-2.50
Bi 0.1612 0.2500 0.4112  6 O 2.40-2.50
Bi 0.3388 0.7500 0.0888  6 O 2.40-2.50
P 0.0734 0.7500 0.8234  4 O 1.56
P 0.4266 0.2500 0.6766  4 O 1.56
P 0.9266 0.2500 0.1766  4 O 1.56
P 0.5734 0.7500 0.3234  4 O 1.56
W 0.9060 0.6560 0.2500  4 O 1.81-1.83
W 0.5940 0.8440 0.7500  4 O 1.81-1.83
W 0.0940 0.3440 0.7500  4 O 1.81-1.83
W 0.4060 0.1560 0.2500  4 O 1.81-1.83
O 0.1556 0.5887 0.7283  1 P 1.56
O 0.3604 0.4273 0.7717  1 P 1.56
O 0.1396 0.9113 0.0669  1 P 1.56
O 0.3444 0.0727 0.4331  1 P 1.56
O 0.8444 0.4113 0.2717  1 P 1.56
O 0.6396 0.5727 0.2283  1 P 1.56
O 0.8604 0.0887 0.9331  1 P 1.56
O 0.6556 0.9273 0.5669  1 P 1.56
O 0.9429 0.6735 0.7282  1 P 1.56
O 0.4452 0.2147 0.7718  1 P 1.56
O 0.0548 0.8265 0.7695  1 P 1.56
O 0.5571 0.2853 0.7305  1 P 1.56
O 0.0571 0.3265 0.2718  1 P 1.56
O 0.5548 0.7853 0.2282  1 P 1.56
O 0.9452 0.1735 0.2305  1 P 1.56
O 0.4429 0.7147 0.2695  1 P 1.56
O 0.8949 0.8078 0.4851  1 W 1.83
O 0.8226 0.4098 0.0149  1 W 1.83
O 0.6774 0.6922 0.5872  1 W 1.83
O 0.6051 0.0902 0.9128  1 W 1.83
O 0.1051 0.1922 0.5149  1 W 1.83
O 0.1774 0.5902 0.9851  1 W 1.83
O 0.3226 0.3078 0.4128  1 W 1.83
O 0.3949 0.9098 0.0872  1 W 1.83
O 0.8442 0.7674 0.2045  1 W 1.81
O 0.0629 0.6397 0.2955  1 W 1.81
O 0.4371 0.7326 0.5768  1 W 1.81
O 0.6558 0.8603 0.9232  1 W 1.81
O 0.1558 0.2326 0.7955  1 W 1.81
O 0.9371 0.3603 0.7045  1 W 1.81
O 0.5629 0.2674 0.4232  1 W 1.81
O 0.3442 0.1397 0.0768  1 W 1.81

Calculated values
- crystal system = orthorhombic
- calculated total energy (eV per formula unit) = -84.23
- energy relative to the elements (eV/f.u.) = -30.5